Here is a relaxed structure of USO6 from the Materials Project database. Energies are from r2SCAN.

It has space group P2_1/c (No. 14), with a = 6.750 Å, b = 5.752 Å, c = 12.852 Å, α = 90.00°, β = 103.13° and γ = 90.00°. The inequivalent atoms are U at (0.181, 0.247, 0.339), S at (0.283, 0.547, 0.603), O at (0.095, 0.521, 0.271), O at (0.112, 0.711, 0.593), O at (0.255, 0.524, 0.902), O at (0.261, 0.142, 0.177), O at (0.285, 0.054, 0.999) and O at (0.474, 0.671, 0.645).

The calculated formation energy is -2.395 eV per atom. As for the crystal system: monoclinic.